First-principles (PBE) data for an optimized crystal structure of Mg5Si6, as listed in the Materials Project.

Output
Symmetry: No. 1
Formation enthalpy at 0 K in eV/atom: 0.15
Total magnetization in μB per formula unit: 0.0

Unit cell a=5.3023 b=5.5237 c=13.6003 alpha=90.62 beta=96.86 gamma=96.74
Fractional coordinates of all 22 atoms:
Mg (0.4112, 0.1745, 0.3169)
Mg (0.4734, 0.7897, 0.6556)
Mg (0.3770, 0.0261, 0.8798)
Mg (0.8149, 0.6541, 0.8300)
Mg (0.9463, 0.3977, 0.3836)
Mg (0.2943, 0.5531, 0.9973)
Mg (0.6496, 0.5379, 0.1870)
Mg (0.1221, 0.9087, 0.4633)
Mg (0.9507, 0.4905, 0.6151)
Mg (0.8682, 0.9018, 0.0301)
Si (0.8419, 0.0250, 0.2394)
Si (0.6719, 0.0739, 0.5142)
Si (0.0930, 0.3101, 0.1457)
Si (0.1936, 0.7111, 0.2427)
Si (0.3927, 0.4135, 0.5041)
Si (0.0035, 0.9903, 0.6596)
Si (0.4950, 0.2812, 0.6994)
Si (0.5759, 0.7131, 0.3895)
Si (0.2701, 0.5075, 0.8040)
Si (0.4026, 0.9882, 0.1175)
Si (0.7692, 0.3873, 0.0023)
Si (0.8826, 0.1574, 0.8194)